VASP calculation (PBE-GGA) on MnB2H17N3 after structural relaxation.

Cell: 12.0381 8.4623 9.7061 Å, 90.00 90.00 90.00°
Last column: nearest neighbours and their distance in Å.
Space group Pnma (No. 62)
Unique sites:
Mn1 0.1916 0.2500 0.0340 [4 per cell]  3 H 1.96-2.06
B1 0.0900 0.2500 0.8115 [4 per cell]  4 H 1.22-1.25
B2 0.1398 0.2500 0.2945 [4 per cell]  4 H 1.21-1.26
H1 0.0438 0.2500 0.9271 [4 per cell]  1 B 1.25
H2 0.0640 0.1289 0.7511 [8 per cell]  1 B 1.22
H3 0.0696 0.2500 0.3844 [4 per cell]  1 B 1.21
H4 0.0808 0.7500 0.5999 [4 per cell]  1 N 1.03
H5 0.0841 0.2500 0.1851 [4 per cell]  1 B 1.26
H6 0.0908 0.6548 0.4554 [8 per cell]  1 N 1.02
H7 0.1364 0.5625 0.9783 [8 per cell]  1 N 1.02
H8 0.1674 0.5514 0.1435 [8 per cell]  1 N 1.02
H9 0.1933 0.2500 0.8256 [4 per cell]  1 B 1.25
H10 0.1965 0.1304 0.3030 [8 per cell]  1 B 1.22
H11 0.2337 0.0663 0.5269 [8 per cell]  1 N 1.02
N1 0.1227 0.7500 0.5072 [4 per cell]  3 H 1.02-1.03
N2 0.1910 0.5154 0.0476 [8 per cell]  3 H 1.02

=====

VASP calculation (PBE-GGA) on Na2BH4N after structural relaxation.

Cell: 4.8856 4.8856 4.3443 Å, 90.00 90.00 90.00°
Last column: nearest neighbours and their distance in Å.
Space group P-42m (No. 111)
Unique sites:
Na1 0.0000 0.5000 0.0000 [2 per cell]  4 H 2.38, 2 N 2.44
B1 0.0000 0.0000 0.5000 [1 per cell]  4 H 1.23
H1 0.1479 0.1479 0.6581 [4 per cell]  1 B 1.23
N1 0.5000 0.5000 0.0000 [1 per cell]  4 Na 2.44

=====

VASP calculation (PBE-GGA) on YB3H24N4 after structural relaxation.

Summary:
For the energy above the most stable polymorph in this dataset, the calculation gives 0.032 eV per atom.

Cell: 12.6548 7.9847 12.9863 Å, 90.00 90.00 90.00°
Last column: nearest neighbours and their distance in Å.
Space group Pna2_1 (No. 33)
Unique sites:
Y1 0.1257 0.0565 0.0000 [4 per cell]  5 H 2.29-2.51, 3 N 2.45-2.53, 1 B 2.50
B1 0.0637 0.2894 0.3363 [4 per cell]  4 H 1.22-1.24
B2 0.1130 0.3558 0.0547 [4 per cell]  4 H 1.20-1.25
B3 0.1251 0.8403 0.1541 [4 per cell]  4 H 1.21-1.24
H1 0.0043 0.1821 0.2998 [4 per cell]  1 B 1.23
H2 0.0283 0.4315 0.3208 [4 per cell]  1 B 1.24
H3 0.0455 0.3249 0.9884 [4 per cell]  1 B 1.24
H4 0.0517 0.8081 0.0946 [4 per cell]  1 B 1.24
H5 0.0730 0.2679 0.4307 [4 per cell]  1 B 1.24
H6 0.0770 0.9540 0.6076 [4 per cell]  1 N 1.02
H7 0.0879 0.0836 0.5075 [4 per cell]  1 N 1.03
H8 0.0893 0.1550 0.7611 [4 per cell]  1 N 1.02
H9 0.0960 0.3203 0.8337 [4 per cell]  1 N 1.03
H10 0.0988 0.2561 0.1260 [4 per cell]  1 B 1.23
H11 0.1086 0.7500 0.8741 [4 per cell]  1 N 1.03
H12 0.1113 0.4984 0.0835 [4 per cell]  1 B 1.20
H13 0.1148 0.7660 0.2350 [4 per cell]  1 B 1.21
H14 0.1229 0.5508 0.4786 [4 per cell]  1 N 1.03
H15 0.1258 0.8870 0.4976 [4 per cell]  1 N 1.02
H16 0.1267 0.9932 0.1719 [4 per cell]  1 B 1.24
H17 0.1482 0.2714 0.2925 [4 per cell]  1 B 1.22
H18 0.1543 0.6294 0.5921 [4 per cell]  1 N 1.02
H19 0.1665 0.4306 0.5695 [4 per cell]  1 N 1.02
H20 0.1992 0.3187 0.0137 [4 per cell]  1 B 1.25
H21 0.2053 0.2313 0.7936 [4 per cell]  1 N 1.03
H22 0.2065 0.7987 0.1096 [4 per cell]  1 B 1.23
H23 0.2172 0.8383 0.8275 [4 per cell]  1 N 1.03
H24 0.2251 0.7349 0.9333 [4 per cell]  1 N 1.02
N1 0.0694 0.9630 0.5293 [4 per cell]  3 H 1.02-1.03
N2 0.1307 0.2060 0.8212 [4 per cell]  3 H 1.02-1.03
N3 0.1763 0.8148 0.8941 [4 per cell]  3 H 1.02-1.03
N4 0.1778 0.5461 0.5370 [4 per cell]  3 H 1.02-1.03

=====

VASP calculation (PBE-GGA) on YB3H30N6 after structural relaxation.

Cell: 11.8402 11.8402 11.8402 Å, 90.00 90.00 90.00°
Last column: nearest neighbours and their distance in Å.
Space group P2_13 (No. 198)
Unique sites:
Y1 0.9997 0.9997 0.9997 [4 per cell]  6 N 2.44
B1 0.0007 0.5007 0.9993 [4 per cell]  4 H 1.24
B2 0.2355 0.2645 0.7355 [4 per cell]  4 H 1.23
B3 0.2405 0.2405 0.2405 [4 per cell]  4 H 1.23
H1 0.0079 0.5369 0.7596 [12 per cell]  1 N 1.03
H2 0.0212 0.5895 0.0503 [12 per cell]  1 B 1.24
H3 0.0259 0.9571 0.2544 [12 per cell]  1 N 1.03
H4 0.0285 0.2069 0.1328 [12 per cell]  1 N 1.03
H5 0.0322 0.2859 0.6175 [12 per cell]  1 N 1.03
H6 0.0597 0.9403 0.4403 [4 per cell]  1 B 1.24
H7 0.1058 0.8006 0.8874 [12 per cell]  1 N 1.03
H8 0.1097 0.6904 0.3714 [12 per cell]  1 N 1.04
H9 0.1716 0.7404 0.6886 [12 per cell]  1 B 1.23
H10 0.1751 0.7513 0.1852 [12 per cell]  1 B 1.23
H11 0.1755 0.3245 0.6755 [4 per cell]  1 B 1.23
H12 0.1804 0.1804 0.1804 [4 per cell]  1 B 1.23
N1 0.0333 0.8071 0.9359 [12 per cell]  3 H 1.03
N2 0.0375 0.6864 0.4206 [12 per cell]  3 H 1.03-1.04

=====

| no. | uncorrected energy (eV/atom) |
| --- | --- |
| 1 | -4.7815 |
| 2 | -3.7214 |
| 3 | -4.7225 |
| 4 | -4.7867 |